Density functional theory data (PBE) for Na3CaB5O10 after structural relaxation.

## Properties
The raw total energy is -541.77 eV for the cell shown. As for the energy with MP2020 corrections: -142.3 eV per formula unit. The magnetization is 0.00 μB per formula unit.

Lattice parameters (Å, degrees): 7.5130 9.8342 13.0896 91.24 90.07 109.48
Fractional coordinates of all 76 atoms:
1 Na 0.0016 0.2622 0.2628
2 Na 0.1266 0.5533 0.1098
3 Na 0.1845 0.1847 0.0032
4 Na 0.3163 0.8312 0.4805
5 Na 0.3832 0.4580 0.3889
6 Na 0.4918 0.2371 0.7707
7 Na 0.5082 0.7629 0.2293
8 Na 0.6168 0.5420 0.6111
9 Na 0.6837 0.1688 0.5195
10 Na 0.8155 0.8153 0.9968
11 Na 0.8734 0.4467 0.8902
12 Na 0.9984 0.7378 0.7372
13 Ca 0.0038 0.8716 0.2410
14 Ca 0.4764 0.1116 0.2671
15 Ca 0.5236 0.8884 0.7329
16 Ca 0.9962 0.1284 0.7590
17 B 0.0780 0.5995 0.3525
18 B 0.1625 0.2961 0.5677
19 B 0.1794 0.1327 0.4181
20 B 0.2197 0.9350 0.9023
21 B 0.2496 0.4550 0.8755
22 B 0.2517 0.5629 0.6176
23 B 0.2915 0.8703 0.0756
24 B 0.3036 0.0934 0.5861
25 B 0.3389 0.7209 0.9240
26 B 0.4149 0.3883 0.1381
27 B 0.5851 0.6117 0.8619
28 B 0.6611 0.2791 0.0760
29 B 0.6964 0.9066 0.4139
30 B 0.7085 0.1297 0.9244
31 B 0.7483 0.4371 0.3824
32 B 0.7504 0.5450 0.1245
33 B 0.7803 0.0650 0.0977
34 B 0.8206 0.8673 0.5819
35 B 0.8375 0.7039 0.4323
36 B 0.9220 0.4005 0.6475
37 O 0.0223 0.7173 0.3863
38 O 0.0665 0.5379 0.6538
39 O 0.1143 0.3259 0.8663
40 O 0.1376 0.2498 0.4587
41 O 0.1638 0.0998 0.3174
42 O 0.1803 0.0320 0.8462
43 O 0.2048 0.5735 0.9147
44 O 0.2046 0.9428 0.0102
45 O 0.2319 0.3693 0.1447
46 O 0.2430 0.2022 0.6289
47 O 0.2506 0.0508 0.4834
48 O 0.2557 0.6187 0.3285
49 O 0.2728 0.8216 0.8608
50 O 0.2932 0.4459 0.5732
51 O 0.3057 0.9020 0.1763
52 O 0.3572 0.7657 0.0335
53 O 0.3841 0.6941 0.6234
54 O 0.4128 0.0329 0.6346
55 O 0.4401 0.4754 0.8494
56 O 0.4740 0.2681 0.1170
57 O 0.5260 0.7319 0.8830
58 O 0.5599 0.5246 0.1506
59 O 0.5872 0.9671 0.3654
60 O 0.6159 0.3059 0.3766
61 O 0.6428 0.2343 0.9665
62 O 0.6943 0.0980 0.8237
63 O 0.7068 0.5541 0.4268
64 O 0.7272 0.1784 0.1392
65 O 0.7443 0.3813 0.6715
66 O 0.7494 0.9492 0.5166
67 O 0.7570 0.7978 0.3711
68 O 0.7681 0.6307 0.8553
69 O 0.7954 0.0572 0.9898
70 O 0.7952 0.4265 0.0853
71 O 0.8197 0.9680 0.1538
72 O 0.8362 0.9002 0.6826
73 O 0.8624 0.7502 0.5413
74 O 0.8857 0.6741 0.1337
75 O 0.9335 0.4621 0.3462
76 O 0.9777 0.2827 0.6137